(1)
First-principles (GGA+U) data for KV3CdCu4O13 after structural relaxation, as listed in the Materials Project.

abc: 8.462 6.272 10.922
angles: 90.00 97.54 90.00
Fractional coordinates of all 44 atoms:
K  0.014  0.250  0.395
K  0.986  0.750  0.605
V  0.036  0.750  0.206
V  0.321  0.750  0.880
V  0.360  0.750  0.495
V  0.640  0.250  0.505
V  0.679  0.250  0.120
V  0.964  0.250  0.794
Cd  0.306  0.250  0.637
Cd  0.694  0.750  0.363
Cu  0.100  0.250  0.102
Cu  0.356  0.250  0.940
Cu  0.391  0.003  0.224
Cu  0.391  0.497  0.224
Cu  0.609  0.503  0.776
Cu  0.609  0.997  0.776
Cu  0.644  0.750  0.060
Cu  0.900  0.750  0.898
O  0.050  0.250  0.662
O  0.119  0.750  0.878
O  0.120  0.250  0.920
O  0.158  0.520  0.211
O  0.158  0.980  0.211
O  0.244  0.531  0.515
O  0.244  0.969  0.515
O  0.337  0.250  0.121
O  0.381  0.509  0.807
O  0.381  0.991  0.807
O  0.411  0.750  0.032
O  0.423  0.750  0.331
O  0.477  0.250  0.396
O  0.523  0.750  0.604
O  0.577  0.250  0.669
O  0.589  0.250  0.968
O  0.619  0.009  0.193
O  0.619  0.491  0.193
O  0.663  0.750  0.879
O  0.756  0.031  0.485
O  0.756  0.469  0.485
O  0.842  0.020  0.789
O  0.842  0.480  0.789
O  0.880  0.750  0.080
O  0.881  0.250  0.122
O  0.950  0.750  0.338

* space-group type: No. 11
* raw total energy: -268.7 eV for the cell shown


(2)
First-principles (GGA+U) data for Mg6CrFeO8 after structural relaxation, as listed in the Materials Project.

abc: 4.294 4.294 8.592
angles: 90.00 90.00 90.00
Fractional coordinates of all 16 atoms:
Mg  0.000  0.000  0.000
Mg  0.000  0.000  0.500
Mg  0.000  0.500  0.248
Mg  0.000  0.500  0.752
Mg  0.500  0.000  0.248
Mg  0.500  0.000  0.752
Cr  0.500  0.500  0.500
Fe  0.500  0.500  0.000
O  0.000  0.000  0.250
O  0.000  0.000  0.750
O  0.000  0.500  0.000
O  0.000  0.500  0.500
O  0.500  0.000  0.000
O  0.500  0.000  0.500
O  0.500  0.500  0.262
O  0.500  0.500  0.738

* ΔE to the lowest computed polymorph: 0 meV/atom
* space-group type: No. 123


(3)
First-principles (GGA+U) data for V2Hg2O7 after structural relaxation, as listed in the Materials Project.

abc: 19.266 3.457 12.002
angles: 90.00 90.00 90.00
Fractional coordinates of all 44 atoms:
V  0.048  0.250  0.067
V  0.202  0.750  0.035
V  0.298  0.250  0.535
V  0.452  0.750  0.567
V  0.548  0.250  0.433
V  0.702  0.750  0.465
V  0.798  0.250  0.965
V  0.952  0.750  0.933
Hg  0.096  0.250  0.300
Hg  0.209  0.250  0.733
Hg  0.291  0.750  0.233
Hg  0.404  0.750  0.800
Hg  0.596  0.250  0.200
Hg  0.709  0.250  0.767
Hg  0.791  0.750  0.267
Hg  0.904  0.750  0.700
O  0.009  0.750  0.077
O  0.017  0.250  0.614
O  0.075  0.250  0.565
O  0.139  0.250  0.016
O  0.210  0.750  0.866
O  0.223  0.250  0.426
O  0.248  0.250  0.123
O  0.252  0.750  0.623
O  0.277  0.750  0.926
O  0.290  0.250  0.366
O  0.361  0.750  0.516
O  0.425  0.750  0.065
O  0.483  0.750  0.114
O  0.491  0.250  0.577
O  0.509  0.750  0.423
O  0.517  0.250  0.886
O  0.575  0.250  0.935
O  0.639  0.250  0.484
O  0.710  0.750  0.634
O  0.723  0.250  0.074
O  0.748  0.250  0.377
O  0.752  0.750  0.877
O  0.777  0.750  0.574
O  0.790  0.250  0.134
O  0.861  0.750  0.984
O  0.925  0.750  0.435
O  0.983  0.750  0.386
O  0.991  0.250  0.923

* space-group type: No. 62
* raw total energy: -229.4 eV for the cell shown


(4)
First-principles (GGA+U) data for K2CrAgF6 after structural relaxation, as listed in the Materials Project.

abc: 6.131 6.131 6.131
angles: 60.00 60.00 60.00
Fractional coordinates of all 10 atoms:
K  0.250  0.250  0.250
K  0.750  0.750  0.750
Cr  0.000  0.000  0.000
Ag  0.500  0.500  0.500
F  0.223  0.223  0.777
F  0.223  0.777  0.223
F  0.223  0.777  0.777
F  0.777  0.223  0.223
F  0.777  0.223  0.777
F  0.777  0.777  0.223

* space-group type: No. 225
* raw total energy: -48.7 eV for the cell shown


(5)
First-principles (GGA+U) data for K8MgMn4O16 after structural relaxation, as listed in the Materials Project.

abc: 5.816 8.810 10.434
angles: 86.69 87.73 89.77
Fractional coordinates of all 29 atoms:
K  0.000  0.000  0.000
K  0.012  0.119  0.584
K  0.032  0.389  0.840
K  0.406  0.776  0.762
K  0.461  0.450  0.484
K  0.473  0.934  0.408
K  0.521  0.251  0.104
K  0.930  0.654  0.316
Mg  0.817  0.679  0.972
Mn  0.401  0.684  0.104
Mn  0.512  0.197  0.748
Mn  0.928  0.683  0.622
Mn  0.995  0.215  0.256
O  0.030  0.508  0.589
O  0.052  0.266  0.101
O  0.116  0.821  0.565
O  0.119  0.696  0.052
O  0.239  0.203  0.335
O  0.282  0.104  0.813
O  0.407  0.676  0.264
O  0.473  0.382  0.753
O  0.541  0.152  0.595
O  0.566  0.539  0.039
O  0.577  0.830  0.034
O  0.672  0.713  0.551
O  0.746  0.150  0.829
O  0.822  0.344  0.317
O  0.873  0.044  0.262
O  0.893  0.693  0.791

* ΔE to the lowest computed polymorph: 24 meV/atom
* space-group type: No. 1


(6)
First-principles (GGA+U) data for Fe5O7 after structural relaxation, as listed in the Materials Project.

abc: 5.087 5.087 8.883
angles: 104.60 104.60 33.29
Fractional coordinates of all 12 atoms:
Fe  0.000  0.000  0.000
Fe  0.111  0.111  0.415
Fe  0.305  0.305  0.184
Fe  0.695  0.695  0.816
Fe  0.889  0.889  0.585
O  0.039  0.039  0.786
O  0.263  0.263  0.636
O  0.347  0.347  0.948
O  0.500  0.500  0.500
O  0.653  0.653  0.052
O  0.737  0.737  0.364
O  0.961  0.961  0.214

* ΔE to the lowest computed polymorph: 0 meV/atom
* space-group type: No. 12


(7)
First-principles (GGA+U) data for Li4Nb2Fe3Sn3O16 after structural relaxation, as listed in the Materials Project.

abc: 6.227 6.227 9.972
angles: 90.09 90.09 59.65
Fractional coordinates of all 28 atoms:
Li  0.000  0.000  0.000
Li  0.002  0.002  0.512
Li  0.323  0.323  0.595
Li  0.666  0.666  0.092
Nb  0.319  0.319  0.000
Nb  0.643  0.643  0.520
Fe  0.167  0.167  0.285
Fe  0.335  0.823  0.783
Fe  0.823  0.335  0.783
Sn  0.163  0.658  0.282
Sn  0.658  0.163  0.282
Sn  0.824  0.824  0.782
O  0.040  0.484  0.149
O  0.156  0.652  0.909
O  0.166  0.166  0.913
O  0.332  0.332  0.394
O  0.335  0.821  0.406
O  0.482  0.482  0.158
O  0.484  0.040  0.149
O  0.508  0.508  0.638
O  0.525  0.954  0.643
O  0.652  0.156  0.909
O  0.661  0.661  0.887
O  0.821  0.335  0.406
O  0.837  0.837  0.399
O  0.954  0.525  0.643
O  0.995  0.995  0.697
O  0.998  0.998  0.185

* space-group type: No. 8
* raw total energy: -190.2 eV for the cell shown


(8)
First-principles (GGA+U) data for Na2VBPO7 after structural relaxation, as listed in the Materials Project.

abc: 8.456 8.482 10.431
angles: 107.42 107.50 99.91
Fractional coordinates of all 48 atoms:
Na  0.000  0.000  0.000
Na  0.055  0.063  0.591
Na  0.251  0.754  0.004
Na  0.313  0.813  0.594
Na  0.502  0.500  0.003
Na  0.563  0.566  0.595
Na  0.751  0.251  0.002
Na  0.810  0.305  0.588
V  0.098  0.348  0.457
V  0.468  0.218  0.141
V  0.590  0.841  0.450
V  0.965  0.719  0.140
B  0.253  0.504  0.713
B  0.314  0.067  0.881
B  0.746  0.997  0.710
B  0.816  0.563  0.880
P  0.243  0.495  0.235
P  0.316  0.068  0.357
P  0.743  0.994  0.236
P  0.818  0.567  0.357
O  0.105  0.356  0.644
O  0.122  0.375  0.276
O  0.139  0.583  0.143
O  0.171  0.927  0.219
O  0.219  0.975  0.745
O  0.233  0.182  0.449
O  0.282  0.035  0.004
O  0.287  0.538  0.594
O  0.332  0.390  0.144
O  0.340  0.591  0.851
O  0.388  0.638  0.374
O  0.419  0.982  0.451
O  0.437  0.183  0.313
O  0.460  0.210  0.947
O  0.601  0.852  0.646
O  0.622  0.874  0.277
O  0.637  0.078  0.141
O  0.675  0.422  0.220
O  0.724  0.469  0.744
O  0.734  0.672  0.451
O  0.775  0.027  0.585
O  0.783  0.531  0.003
O  0.827  0.886  0.142
O  0.842  0.092  0.845
O  0.884  0.134  0.375
O  0.929  0.482  0.449
O  0.936  0.684  0.313
O  0.959  0.709  0.946

* ΔE to the lowest computed polymorph: 2 meV/atom
* space-group type: No. 1


(9)
First-principles (GGA+U) data for Li4Mn2OF7 after structural relaxation, as listed in the Materials Project.

abc: 6.089 8.539 6.141
angles: 88.59 88.46 88.02
Fractional coordinates of all 28 atoms:
Li  0.748  0.749  0.751
Li  0.249  0.249  0.251
Li  0.994  0.499  0.014
Li  0.494  0.999  0.514
Li  0.249  0.894  0.002
Li  0.749  0.394  0.502
Li  0.255  0.612  0.487
Li  0.755  0.112  0.987
Mn  0.250  0.239  0.750
Mn  0.511  0.499  0.011
Mn  0.750  0.739  0.250
Mn  0.011  0.999  0.511
O  0.748  0.529  0.240
O  0.248  0.028  0.740
F  0.740  0.987  0.730
F  0.240  0.487  0.230
F  0.519  0.754  0.488
F  0.019  0.253  0.988
F  0.754  0.974  0.259
F  0.254  0.474  0.759
F  0.991  0.748  0.501
F  0.490  0.248  0.001
F  0.508  0.755  0.995
F  0.008  0.255  0.495
F  0.977  0.749  0.010
F  0.477  0.249  0.510
F  0.756  0.513  0.764
F  0.256  0.013  0.264

* maximum piezoelectric response: 0.2 C/m²
* raw total energy: -155.2 eV for the cell shown


(10)
First-principles (GGA+U) data for MgV12Zn6O24 after structural relaxation, as listed in the Materials Project.

abc: 6.047 6.057 15.291
angles: 89.23 89.18 60.10
Fractional coordinates of all 43 atoms:
Mg  0.000  0.000  0.000
V  0.000  0.499  0.000
V  0.169  0.167  0.338
V  0.169  0.663  0.338
V  0.332  0.330  0.542
V  0.338  0.337  0.167
V  0.339  0.826  0.661
V  0.500  0.498  0.002
V  0.501  0.999  0.000
V  0.665  0.167  0.338
V  0.666  0.663  0.833
V  0.827  0.336  0.661
V  0.829  0.825  0.663
Zn  0.001  0.998  0.153
Zn  0.006  0.000  0.846
Zn  0.331  0.330  0.790
Zn  0.665  0.663  0.455
Zn  0.670  0.668  0.211
Zn  0.998  0.997  0.498
O  0.003  0.000  0.272
O  0.033  0.487  0.257
O  0.152  0.159  0.586
O  0.160  0.663  0.078
O  0.162  0.678  0.588
O  0.167  0.166  0.078
O  0.312  0.842  0.410
O  0.329  0.327  0.928
O  0.332  0.331  0.414
O  0.335  0.837  0.924
O  0.488  0.031  0.256
O  0.489  0.487  0.257
O  0.503  0.971  0.741
O  0.518  0.502  0.742
O  0.664  0.159  0.078
O  0.666  0.661  0.589
O  0.672  0.672  0.072
O  0.680  0.149  0.587
O  0.836  0.835  0.923
O  0.840  0.334  0.924
O  0.843  0.310  0.410
O  0.843  0.841  0.410
O  0.974  0.512  0.741
O  0.998  0.997  0.726

* ΔE to the lowest computed polymorph: 19 meV/atom
* space-group type: No. 1


(11)
First-principles (GGA+U) data for FeW2O8 after structural relaxation, as listed in the Materials Project.

abc: 5.080 5.863 10.678
angles: 90.00 117.59 90.00
Fractional coordinates of all 22 atoms:
Fe  0.000  0.159  0.250
Fe  0.000  0.841  0.750
W  0.243  0.327  0.994
W  0.243  0.673  0.494
W  0.757  0.327  0.506
W  0.757  0.673  0.006
O  0.167  0.396  0.609
O  0.167  0.604  0.109
O  0.218  0.164  0.137
O  0.218  0.836  0.637
O  0.243  0.098  0.880
O  0.243  0.902  0.380
O  0.317  0.391  0.394
O  0.317  0.609  0.894
O  0.683  0.391  0.106
O  0.683  0.609  0.606
O  0.757  0.098  0.620
O  0.757  0.902  0.120
O  0.782  0.164  0.363
O  0.782  0.836  0.863
O  0.833  0.396  0.891
O  0.833  0.604  0.391

* ΔE to the lowest computed polymorph: 25 meV/atom
* space-group type: No. 13


(12)
First-principles (GGA+U) data for Fe2B2O5 after structural relaxation, as listed in the Materials Project.

abc: 3.284 6.258 9.535
angles: 105.13 91.07 91.80
Fractional coordinates of all 18 atoms:
Fe  0.237  0.364  0.100
Fe  0.252  0.787  0.640
Fe  0.748  0.213  0.360
Fe  0.763  0.636  0.900
B  0.306  0.320  0.646
B  0.345  0.875  0.170
B  0.655  0.125  0.830
B  0.694  0.680  0.354
O  0.242  0.088  0.181
O  0.243  0.271  0.500
O  0.259  0.692  0.057
O  0.264  0.527  0.739
O  0.429  0.144  0.704
O  0.571  0.856  0.296
O  0.736  0.473  0.261
O  0.741  0.308  0.943
O  0.757  0.729  0.500
O  0.758  0.912  0.819

* space-group type: No. 2
* raw total energy: -135.3 eV for the cell shown